1.
Al3Pt5 | PBE-GGA | optimized geometry

Structure (POSCAR):
```
Al3Pt5
1.0
4.005 0.000 0.000
0.000 5.468 0.000
0.000 0.000 10.893
Pt Al
10 6
Cartesian
0.000 5.078 8.378 Pt
2.003 1.132 9.725 Pt
0.000 3.124 2.931 Pt
0.000 2.344 7.962 Pt
0.000 2.734 0.000 Pt
2.003 3.866 6.615 Pt
0.000 0.390 2.515 Pt
0.000 0.000 5.447 Pt
2.003 4.336 1.168 Pt
2.003 1.602 4.278 Pt
0.000 2.734 5.447 Al
2.003 1.742 1.524 Al
2.003 0.992 6.971 Al
2.003 4.476 3.922 Al
2.003 3.726 9.369 Al
0.000 0.000 0.000 Al
```

## Properties
- space-group type = No. 55
- calculated formation energy (eV/atom) = -0.908
- V (Å³/atom) = 14.910



2.
HfScTc2 | PBE-GGA | optimized geometry

Structure (POSCAR):
```
HfScTc2
1.0
1.860 1.760 3.825
-2.460 0.172 3.887
1.066 -2.765 3.523
Tc Hf Sc
2 1 1
Cartesian
0.349 -0.624 8.427 Tc
0.116 -0.208 2.809 Tc
0.233 -0.416 5.618 Hf
0.000 0.000 0.000 Sc
```

## Properties
- space-group type = No. 225
- calculated formation energy (eV/atom) = -0.278
- V (Å³/atom) = 17.245



3.
SiO2 | PBE-GGA | optimized geometry

Structure (POSCAR):
```
SiO2
1.0
4.560 -3.872 11.816
8.691 -4.921 8.698
6.169 9.314 5.041
Si O
14 28
Cartesian
13.394 -6.612 19.971 Si
6.026 7.134 5.584 Si
18.025 0.220 23.808 Si
12.479 -1.824 17.148 Si
10.858 -4.274 15.824 Si
8.986 -4.403 13.387 Si
4.678 -1.224 6.609 Si
6.941 2.346 8.407 Si
6.655 -0.576 9.011 Si
10.434 4.924 12.168 Si
12.765 1.098 16.544 Si
14.743 1.746 18.946 Si
1.396 0.302 1.748 Si
8.562 4.796 9.731 Si
12.229 -0.425 16.346 O
9.991 -3.827 14.525 O
14.918 3.324 18.647 O
7.796 3.497 9.153 O
9.635 -4.133 11.923 O
4.502 -2.802 6.908 O
5.365 2.721 8.428 O
11.503 2.085 16.776 O
11.848 4.131 12.076 O
7.430 2.197 6.870 O
9.563 5.422 8.615 O
6.954 8.133 6.478 O
11.624 -2.975 16.402 O
5.675 -0.575 7.713 O
13.745 1.097 17.842 O
12.466 -7.612 19.077 O
11.919 -5.423 15.384 O
14.097 -7.426 21.175 O
9.857 -4.900 16.940 O
9.429 4.348 11.030 O
5.852 -1.039 10.338 O
9.786 4.655 13.632 O
13.569 1.561 15.217 O
7.191 0.947 9.209 O
5.323 7.948 4.380 O
7.917 -1.563 8.779 O
7.573 -3.609 13.480 O
7.501 5.945 10.171 O
```

## Properties
- space-group type = No. 12
- calculated formation energy (eV/atom) = -3.255
- V (Å³/atom) = 18.916
- E (MP2020) (eV/cell) = -351.22



4.
HfTl4Te4 | PBE-GGA | optimized geometry

Structure (POSCAR):
```
HfTl4Te4
1.0
-1.408 7.042 6.778
-7.869 -5.591 2.081
6.823 -5.277 4.807
Tl Te Hf
12 12 3
Cartesian
1.228 -5.007 7.766 Tl
4.880 -1.191 9.503 Tl
-5.112 -3.035 7.180 Tl
-3.405 -8.205 6.052 Tl
-3.681 1.181 5.900 Tl
0.951 4.379 7.614 Tl
-1.998 -5.101 4.443 Tl
-7.333 -2.635 4.163 Tl
-5.820 2.619 8.649 Tl
2.658 -0.792 6.486 Tl
-0.455 1.275 9.223 Tl
3.367 -6.445 5.017 Tl
0.692 -1.906 9.053 Te
4.624 -4.110 7.040 Te
3.401 1.741 8.914 Te
-0.330 0.703 5.852 Te
-0.114 -7.936 5.574 Te
-2.123 -4.530 7.813 Te
-2.339 4.110 8.092 Te
-5.854 -5.567 4.751 Te
-7.077 0.284 6.625 Te
-3.157 -0.721 8.694 Te
-3.145 -1.921 4.612 Te
0.704 -3.105 4.972 Te
-1.853 -2.890 10.323 Hf
-1.227 -1.913 6.833 Hf
-0.600 -0.936 3.342 Hf
```

## Properties
- space-group type = No. 148
- calculated formation energy (eV/atom) = -0.674
- V (Å³/atom) = 34.396
- E (MP2020) (eV/cell) = -114.14